Below is a relaxed structure of Ho2Mo4O15, with properties calculated at the r²SCAN level.

Output
**E_form**: -2.645 eV per atom
**Theoretical density**: 4.819 g/cm3
**E**: -630.36 eV per cell

Lattice parameters (Å, degrees): 6.7775 9.5560 10.5211 90.00 105.32 90.00
Last column: nearest neighbours and their distance in Å.
Space group P2_1/c (No. 14)
One atom of each set of equivalent atoms:
Ho (0.2122, 0.0230, 0.2764) x4  7 O 2.24-2.34
Mo (0.0805, 0.7437, 0.0106) x4  4 O 1.75-1.79
Mo (0.3797, 0.0958, 0.8436) x4  4 O 1.74-1.87
O (0.0228, 0.1257, 0.3971) x4  1 Mo 1.75
O (0.1203, 0.1663, 0.0996) x4  1 Mo 1.76
O (0.1214, 0.0561, 0.8174) x4  1 Mo 1.74
O (0.2198, 0.6535, 0.9173) x4  1 Mo 1.76
O (0.2455, 0.6352, 0.6176) x4  1 Mo 1.79
O (0.3880, 0.2225, 0.3530) x4  1 Mo 1.74
O (0.4464, 0.0285, 0.7062) x4  1 Mo 1.75
O (0.5000, 0.0000, 0.0000) x2  2 Mo 1.87


Below is a relaxed structure of HoMo6S8, with properties calculated at the r²SCAN level.

Output
**E_form**: -1.041 eV per atom
**Theoretical density**: 6.102 g/cm3
**E**: -807.58 eV per cell

Lattice parameters (Å, degrees): 9.1206 9.1206 11.2995 90.00 90.00 120.00
Last column: nearest neighbours and their distance in Å.
Space group R-3 (No. 148, hexagonal axes)
One atom of each set of equivalent atoms:
Ho (0.0000, 0.0000, 0.0000) x3  8 S 2.69-2.98
Mo (0.0181, 0.1760, 0.4020) x18  5 S 2.41-2.59, 4 Mo 2.65-2.69
S (0.0000, 0.0000, 0.2377) x6  3 Mo 2.41, 1 Ho 2.69
S (0.0028, 0.6219, 0.7490) x18  4 Mo 2.44-2.59


Below is a relaxed structure of Ho2Si4Mo3, with properties calculated at the r²SCAN level.

Output
**E_form**: -0.705 eV per atom
**Theoretical density**: 8.116 g/cm3
**E**: -370.83 eV per cell

Lattice parameters (Å, degrees): 6.8251 6.8900 6.7103 90.00 108.80 90.00
Last column: nearest neighbours and their distance in Å.
Space group P2_1/c (No. 14)
One atom of each set of equivalent atoms:
Ho (0.1915, 0.1701, 0.0624) x4  7 Si 2.79-3.03
Si (0.0899, 0.5447, 0.8682) x4  1 Si 2.53, 4 Mo 2.54-2.67, 1 Ho 2.79
Si (0.4951, 0.6311, 0.6274) x4  1 Si 2.50, 5 Mo 2.52-2.69
Mo (0.2496, 0.6625, 0.2485) x4  6 Si 2.52-2.62
Mo (0.5000, 0.0000, 0.5000) x2  6 Si 2.65-2.69, 2 Mo 2.96


Below is a relaxed structure of HoN, with properties calculated at the r²SCAN level.

Output
**E_form**: -2.060 eV per atom
**Theoretical density**: 10.385 g/cm3
**E**: -184.52 eV per cell

Lattice parameters (Å, degrees): 4.8552 4.8552 4.8552 90.00 90.00 90.00
Last column: nearest neighbours and their distance in Å.
Space group Fm-3m (No. 225)
One atom of each set of equivalent atoms:
Ho (0.0000, 0.0000, 0.0000) x4  6 N 2.43
N (0.0000, 0.0000, 0.5000) x4  6 Ho 2.43


Below is a relaxed structure of NaHoP2O7, with properties calculated at the r²SCAN level.

Output
**E_form**: -2.920 eV per atom
**Theoretical density**: 3.989 g/cm3
**E**: -513.51 eV per cell

Lattice parameters (Å, degrees): 8.6144 5.3523 13.9273 90.00 110.23 90.00
Last column: nearest neighbours and their distance in Å.
Space group P2_1/c (No. 14)
One atom of each set of equivalent atoms:
Na (0.0532, 0.2226, 0.3339) x4  6 O 2.41-2.59
Ho (0.2474, 0.2335, 0.6473) x4  6 O 2.16-2.27
P (0.1888, 0.7145, 0.4776) x4  4 O 1.50-1.61
P (0.3138, 0.7448, 0.3128) x4  4 O 1.50-1.60
O (0.0299, 0.6978, 0.8965) x4  1 P 1.52
O (0.1869, 0.0654, 0.9966) x4  1 P 1.52
O (0.2158, 0.5067, 0.2737) x4  1 P 1.52
O (0.2165, 0.5299, 0.7558) x4  1 P 1.53
O (0.2360, 0.6373, 0.0753) x4  1 P 1.50
O (0.3318, 0.7288, 0.9309) x4  2 P 1.60-1.61
O (0.4876, 0.7334, 0.3123) x4  1 P 1.50


Below is a relaxed structure of NaHoS2, with properties calculated at the r²SCAN level.

Output
**E_form**: -2.135 eV per atom
**Theoretical density**: 4.695 g/cm3
**E**: -183.16 eV per cell

Lattice parameters (Å, degrees): 3.9456 3.9456 19.8358 90.00 90.00 120.00
Last column: nearest neighbours and their distance in Å.
Space group R-3m (No. 166, hexagonal axes)
One atom of each set of equivalent atoms:
Na (0.0000, 0.0000, 0.0000) x3  6 S 2.90
Ho (0.0000, 0.0000, 0.5000) x3  6 S 2.73
S (0.0000, 0.0000, 0.2425) x6  3 Ho 2.73, 3 Na 2.90


Below is a relaxed structure of NaHoSe2, with properties calculated at the r²SCAN level.

Output
**E_form**: -1.989 eV per atom
**Theoretical density**: 5.699 g/cm3
**E**: -219.07 eV per cell

Lattice parameters (Å, degrees): 4.0988 4.0988 20.7781 90.00 90.00 120.00
Last column: nearest neighbours and their distance in Å.
Space group R-3m (No. 166, hexagonal axes)
One atom of each set of equivalent atoms:
Na (0.0000, 0.0000, 0.0000) x3  6 Se 3.02
Ho (0.0000, 0.0000, 0.5000) x3  6 Se 2.85
Se (0.0000, 0.0000, 0.2434) x6  3 Ho 2.85, 3 Na 3.02


Below is a relaxed structure of HoNbO4, with properties calculated at the r²SCAN level.

Output
**E_form**: -3.400 eV per atom
**Theoretical density**: 7.266 g/cm3
**E**: -407.63 eV per cell

Lattice parameters (Å, degrees): 7.0747 10.9482 5.0995 90.00 131.85 90.00
Last column: nearest neighbours and their distance in Å.
Space group C2/c (No. 15)
One atom of each set of equivalent atoms:
Ho (0.0000, 0.1286, 0.2500) x4  8 O 2.30-2.40
Nb (0.0000, 0.3918, 0.7500) x4  4 O 1.88-1.94
O (0.1636, 0.2879, 0.6624) x8  1 Nb 1.88
O (0.2491, 0.4683, 0.2086) x8  1 Nb 1.94


Below is a relaxed structure of NdHo3S6, with properties calculated at the r²SCAN level.

Output
**E_form**: -2.399 eV per atom
**Theoretical density**: 5.905 g/cm3
**E**: -400.50 eV per cell

Lattice parameters (Å, degrees): 11.0250 3.9669 11.2946 90.00 108.79 90.00
Last column: nearest neighbours and their distance in Å.
Space group P2_1/m (No. 11)
One atom of each set of equivalent atoms:
Nd (0.0482, 0.2500, 0.1943) x2  8 S 2.89-3.04
Ho (0.1616, 0.2500, 0.5866) x2  6 S 2.64-2.78
Ho (0.3203, 0.7500, 0.9978) x2  7 S 2.68-2.91
Ho (0.4397, 0.2500, 0.3327) x2  6 S 2.66-2.76
S (0.0818, 0.7500, 0.4062) x2  3 Ho 2.71-2.78
S (0.1181, 0.2500, 0.9634) x2  3 Nd 2.89-2.95, 2 Ho 2.91
S (0.1964, 0.7500, 0.7488) x2  3 Ho 2.64-2.70
S (0.2640, 0.7500, 0.2271) x2  3 Ho 2.76-2.85, 2 Nd 3.03
S (0.3955, 0.2500, 0.5597) x2  4 Ho 2.69-2.76
S (0.4777, 0.2500, 0.1121) x2  4 Ho 2.66-2.88


Below is a relaxed structure of NdHoTl2, with properties calculated at the r²SCAN level.

Output
**E_form**: -0.462 eV per atom
**Theoretical density**: 10.666 g/cm3
**E**: -682.03 eV per cell

Lattice parameters (Å, degrees): 7.6466 7.6466 7.6466 90.00 90.00 90.00
Last column: nearest neighbours and their distance in Å.
Space group Fm-3m (No. 225)
One atom of each set of equivalent atoms:
Nd (0.0000, 0.0000, 0.0000) x4  8 Tl 3.31
Ho (0.0000, 0.0000, 0.5000) x4  8 Tl 3.31
Tl (0.2500, 0.2500, 0.2500) x8  4 Ho 3.31, 4 Nd 3.31


Below is a relaxed structure of NdHoZn2, with properties calculated at the r²SCAN level.

Output
**E_form**: -0.347 eV per atom
**Theoretical density**: 7.820 g/cm3
**E**: -326.03 eV per cell

Lattice parameters (Å, degrees): 7.2031 7.2031 7.2031 90.00 90.00 90.00
Last column: nearest neighbours and their distance in Å.
Space group Fm-3m (No. 225)
One atom of each set of equivalent atoms:
Nd (0.0000, 0.0000, 0.0000) x4  8 Zn 3.12
Ho (0.0000, 0.0000, 0.5000) x4  8 Zn 3.12
Zn (0.2500, 0.2500, 0.2500) x8  4 Ho 3.12, 4 Nd 3.12


Below is a relaxed structure of Ho3Ni2, with properties calculated at the r²SCAN level.

Output
**E_form**: -0.341 eV per atom
**Distance to the lowest polymorph of the same formula**: 0.022 eV per atom
**Theoretical density**: 9.427 g/cm3
**E**: -1118.82 eV per cell

Lattice parameters (Å, degrees): 8.4764 8.4764 15.5979 90.00 90.00 120.00
Last column: nearest neighbours and their distance in Å.
Space group R-3 (No. 148, hexagonal axes)
One atom of each set of equivalent atoms:
Ho (0.0000, 0.0000, 0.0000) x3  6 Ni 2.90, 2 Ho 3.23
Ho (0.0000, 0.0000, 0.2070) x6  6 Ni 2.75-2.90
Ho (0.0210, 0.7640, 0.5928) x18  4 Ni 2.81-2.96
Ni (0.0224, 0.4201, 0.5629) x18  1 Ni 2.52, 3 Ho 2.75-2.81


Below is a relaxed structure of Ho3Ni2, with properties calculated at the r²SCAN level.

Output
**E_form**: -0.363 eV per atom
**Distance to the lowest polymorph of the same formula**: 0.000 eV per atom
**Theoretical density**: 9.337 g/cm3
**E**: -497.69 eV per cell

Lattice parameters (Å, degrees): 13.1525 3.6081 9.4993 90.00 104.97 90.00
Last column: nearest neighbours and their distance in Å.
Space group C2/m (No. 12)
One atom of each set of equivalent atoms:
Ho (0.0972, 0.0000, 0.1738) x4  3 Ni 2.74
Ho (0.1313, 0.5000, 0.4978) x4  7 Ni 2.78-2.99
Ho (0.1445, 0.5000, 0.8629) x4  4 Ni 2.75-2.85
Ni (0.0342, 0.0000, 0.6438) x4  2 Ni 2.65-2.66, 7 Ho 2.74-2.88
Ni (0.2436, 0.0000, 0.7238) x4  1 Ni 2.66, 6 Ho 2.74-2.90


Below is a relaxed structure of HoNiO3, with properties calculated at the r²SCAN level.

Output
**E_form**: -2.575 eV per atom
**Theoretical density**: 8.690 g/cm3
**E**: -302.63 eV per cell

Lattice parameters (Å, degrees): 5.4972 7.3604 5.1310 90.00 90.00 90.00
Last column: nearest neighbours and their distance in Å.
Space group Pnma (No. 62)
One atom of each set of equivalent atoms:
Ho (0.0758, 0.2500, 0.0203) x4  6 O 2.22-2.42
Ni (0.0000, 0.0000, 0.5000) x4  6 O 1.92-1.99
O (0.0289, 0.7500, 0.3978) x4  2 Ni 1.92
O (0.1949, 0.5511, 0.8058) x8  2 Ni 1.94-1.99


Below is a relaxed structure of Ho2Ni12P7, with properties calculated at the r²SCAN level.

Output
**E_form**: -0.800 eV per atom
**Theoretical density**: 8.161 g/cm3
**E**: -289.36 eV per cell

Lattice parameters (Å, degrees): 8.9597 8.9597 3.6612 90.00 90.00 120.00
Last column: nearest neighbours and their distance in Å.
Space group P-6 (No. 174)
One atom of each set of equivalent atoms:
Ho (0.0000, 0.0000, 0.0000) x1  6 P 2.84, 9 Ni 2.93-3.09
Ho (0.3333, 0.6667, 0.5000) x1  6 P 2.86, 12 Ni 2.99-3.19
Ni (0.0386, 0.7668, 0.5000) x3  4 P 2.22-2.31, 1 Ni 2.47
Ni (0.0971, 0.3829, 0.0000) x3  4 P 2.24-2.32
Ni (0.4523, 0.2400, 0.0000) x3  3 P 2.27-2.48
Ni (0.5147, 0.0590, 0.5000) x3  4 P 2.13-2.30
P (0.0713, 0.6283, 0.0000) x3  7 Ni 2.24-2.32
P (0.2590, 0.0375, 0.5000) x3  5 Ni 2.20-2.27
P (0.6667, 0.3333, 0.5000) x1  3 Ni 2.13


Below is a relaxed structure of HoNi4P2, with properties calculated at the r²SCAN level.

Output
**E_form**: -0.860 eV per atom
**Theoretical density**: 8.685 g/cm3
**E**: -209.67 eV per cell

Lattice parameters (Å, degrees): 7.0472 7.0472 3.5544 90.00 90.00 90.00
Last column: nearest neighbours and their distance in Å.
Space group P4_2/mnm (No. 136)
One atom of each set of equivalent atoms:
Ho (0.0000, 0.0000, 0.0000) x2  6 P 2.79-2.83, 8 Ni 3.02
Ni (0.0841, 0.3360, 0.5000) x8  3 P 2.28-2.30, 5 Ni 2.51-2.56
P (0.2205, 0.7795, 0.5000) x4  6 Ni 2.28-2.30


Below is a relaxed structure of Ho2NiRu, with properties calculated at the r²SCAN level.

Output
**E_form**: -0.434 eV per atom
**Theoretical density**: 10.757 g/cm3
**E**: -419.62 eV per cell

Lattice parameters (Å, degrees): 6.7116 6.7116 6.7116 90.00 90.00 90.00
Last column: nearest neighbours and their distance in Å.
Space group Fm-3m (No. 225)
One atom of each set of equivalent atoms:
Ho (0.2500, 0.2500, 0.2500) x8  4 Ru 2.91, 4 Ni 2.91
Ni (0.0000, 0.0000, 0.0000) x4  8 Ho 2.91
Ru (0.0000, 0.0000, 0.5000) x4  8 Ho 2.91


Below is a relaxed structure of Ho3Ni2Ru4, with properties calculated at the r²SCAN level.

Output
**E_form**: -0.400 eV per atom
**Theoretical density**: 11.308 g/cm3
**E**: -455.81 eV per cell

Lattice parameters (Å, degrees): 5.1952 5.2125 12.6913 89.90 88.41 60.35
Last column: nearest neighbours and their distance in Å.
Space group P-1 (No. 2)
One atom of each set of equivalent atoms:
Ho (0.0106, 0.4969, 0.1247) x2  5 Ni 2.96-3.12, 7 Ru 3.02-3.06, 4 Ho 3.16-3.19
Ho (0.3355, 0.8398, 0.2057) x2  4 Ni 2.97-3.08, 8 Ru 3.02-3.11, 4 Ho 3.16-3.21
Ho (0.3367, 0.8291, 0.4584) x2  3 Ni 3.01-3.08, 9 Ru 3.01-3.12, 4 Ho 3.18-3.21
Ni (0.1644, 0.1675, 0.6667) x2  6 Ru 2.61-2.64
Ni (0.5000, 0.0000, 0.0000) x1  4 Ru 2.59-2.60, 2 Ni 2.61
Ni (0.5000, 0.5000, 0.0000) x1  4 Ru 2.59-2.62, 2 Ni 2.61
Ru (0.0000, 0.0000, 0.0000) x1  2 Ru 2.50, 4 Ni 2.60-2.62
Ru (0.0000, 0.5000, 0.5000) x1  4 Ru 2.58-2.63, 2 Ni 2.61
Ru (0.1673, 0.6662, 0.6681) x2  4 Ru 2.58-2.63, 2 Ni 2.61
Ru (0.3247, 0.8368, 0.8368) x2  3 Ru 2.50-2.62, 3 Ni 2.59-2.64
Ru (0.3363, 0.3348, 0.3320) x2  4 Ru 2.58-2.62, 2 Ni 2.61-2.62